The following is a r2SCAN calculation of YbPrSe3 after structural relaxation, from the Materials Project database.

Values from the calculation:
The value obtained for the formation energy from the elements is -2198 meV/atom.

The structure in CIF format:
```
data_YbPrSe3
_chemical_formula_sum 'Yb4 Pr4 Se12'
_cell_length_a 4.0423
_cell_length_b 13.1401
_cell_length_c 9.9614
_cell_angle_alpha 90.00
_cell_angle_beta 90.00
_cell_angle_gamma 90.00
_symmetry_space_group_name_H-M 'C m c m'
_symmetry_Int_Tables_number 63
_symmetry_space_group_name_Hall '-C 2c 2'
loop_
_atom_site_label
_atom_site_fract_x
_atom_site_fract_y
_atom_site_fract_z
Yb1 0.0000 0.0000 0.0000
Pr1 0.0000 0.2523 0.2500
Se1 0.0000 0.0851 0.7500
Se2 0.0000 0.3577 0.5616
```